1.
First-principles (GGA+U) data for an optimized crystal structure of NaCo2Se2O7, as listed in Materials Project.

Unit cell a=13.514 b=6.053 c=8.380 alpha=90.00 beta=90.00 gamma=90.00
Space group Pnma (No. 62)
Unique sites:
Na 0.249 0.250 0.130 (multiplicity 4)
Co 0.000 0.000 0.500 (multiplicity 4)
Co 0.116 0.250 0.775 (multiplicity 4)
Se 0.026 0.750 0.880 (multiplicity 4)
Se 0.172 0.750 0.274 (multiplicity 4)
O 0.014 0.526 0.749 (multiplicity 8)
O 0.082 0.250 0.530 (multiplicity 4)
O 0.088 0.250 0.027 (multiplicity 4)
O 0.113 0.750 0.464 (multiplicity 4)
O 0.243 0.041 0.801 (multiplicity 8)

DFT formation energy = -1.397 eV per atom
Final energy = -0.202 Ha/atom
Total magnetic moment = 5.0 μB per formula unit


2.
First-principles (GGA+U) data for an optimized crystal structure of Na2SrV2CoO8, as listed in Materials Project.

Unit cell a=13.856 b=5.580 c=9.700 alpha=90.00 beta=90.09 gamma=90.00
Space group P2_1/c (No. 14)
Unique sites:
Na 0.083 0.019 0.319 (multiplicity 4)
Na 0.416 0.519 0.150 (multiplicity 4)
Sr 0.250 0.554 0.462 (multiplicity 4)
V 0.135 0.017 0.650 (multiplicity 4)
V 0.365 0.031 0.317 (multiplicity 4)
Co 0.000 0.000 0.000 (multiplicity 2)
Co 0.500 0.000 0.000 (multiplicity 2)
O 0.075 0.007 0.808 (multiplicity 4)
O 0.084 0.700 0.041 (multiplicity 4)
O 0.117 0.194 0.081 (multiplicity 4)
O 0.246 0.022 0.360 (multiplicity 4)
O 0.253 0.552 0.183 (multiplicity 4)
O 0.385 0.006 0.138 (multiplicity 4)
O 0.414 0.196 0.873 (multiplicity 4)
O 0.423 0.697 0.906 (multiplicity 4)

DFT formation energy = -2.347 eV per atom
Final energy = -0.240 Ha/atom
Total magnetic moment = 1.0 μB per formula unit


3.
First-principles (GGA+U) data for an optimized crystal structure of NbCoO4, as listed in Materials Project.

Unit cell a=12.258 b=3.841 c=6.552 alpha=90.00 beta=107.88 gamma=90.00
Space group C2/m (No. 12)
Unique sites:
Nb 0.105 0.000 0.238 (multiplicity 4)
Co 0.204 0.000 0.828 (multiplicity 4)
O 0.057 0.000 0.864 (multiplicity 4)
O 0.142 0.000 0.528 (multiplicity 4)
O 0.144 0.500 0.202 (multiplicity 4)
O 0.237 0.500 0.863 (multiplicity 4)

DFT formation energy = -2.265 eV per atom
Final energy = -0.283 Ha/atom
Total magnetic moment = 0.0 μB per formula unit


4.
First-principles (GGA+U) data for an optimized crystal structure of Nb2Co2O9, as listed in Materials Project.

Unit cell a=4.8804 b=4.8804 c=14.2371 alpha=90.00 beta=90.00 gamma=120.00
Space group P6_3/mcm (No. 193)
Unique sites:
Nb 0.0000 0.0000 0.1593 (multiplicity 4)
Co 0.3333 0.6667 0.0000 (multiplicity 4)
O 0.0000 0.2985 0.2500 (multiplicity 6)
O 0.0000 0.3523 0.5743 (multiplicity 12)

DFT formation energy = -1.885 eV per atom
Final energy = -0.266 Ha/atom
Total magnetic moment = 2.0 μB per formula unit


no.,corrected total energy (MP2020 scheme) (eV per atom)
1,-6.16
2,-7.29
3,-8.43
4,-7.96